# 1
Entry from Materials Project: a relaxed structure of Ba3MgNb2CoO9 (PBE+U).

```
Ba3MgNb2CoO9
1.0
6.185 0.158 0.269
-2.956 5.125 -0.001
0.328 0.181 7.481
Ba Nb O Co Mg
3 2 9 1 1
Direct
0.228 0.616 0.631 Ba
0.074 0.038 0.054 Ba
0.669 0.336 0.344 Ba
0.338 0.670 0.177 Nb
0.657 0.328 0.830 Nb
0.829 0.159 0.677 O
0.509 0.520 0.992 O
0.509 0.988 0.992 O
0.173 0.344 0.325 O
0.826 0.665 0.674 O
0.173 0.831 0.324 O
0.000 0.500 0.003 O
0.378 0.187 0.691 O
0.628 0.815 0.308 O
0.001 0.001 0.490 Co
0.676 0.837 0.820 Mg
```

Values from the calculation:
- VASP energy: -7.111 eV per atom
- Total energy after the MP2020 corrections: -7.600 eV/atom
- Formation energy from the elements: -42.404 eV per formula unit

---

# 2
Entry from Materials Project: a relaxed structure of Li7Co5O12 (PBE+U).

```
Li7Co5O12
1.0
0.696 -2.873 4.974
-4.856 3.195 -0.839
-0.858 -7.274 -2.443
Li O Co
7 12 5
Direct
0.335 0.834 0.831 Li
0.665 0.166 0.169 Li
0.500 0.500 0.500 Li
0.836 0.838 0.830 Li
0.000 0.000 0.500 Li
0.164 0.162 0.170 Li
0.000 0.500 0.500 Li
0.201 0.937 0.657 O
0.347 0.615 0.344 O
0.993 0.739 0.002 O
0.007 0.261 0.998 O
0.653 0.385 0.656 O
0.340 0.060 0.341 O
0.508 0.268 0.990 O
0.163 0.414 0.686 O
0.660 0.940 0.659 O
0.837 0.586 0.314 O
0.492 0.732 0.010 O
0.799 0.063 0.343 O
0.835 0.329 0.828 Co
0.500 0.000 0.500 Co
0.165 0.671 0.172 Co
0.674 0.676 0.175 Co
0.326 0.324 0.825 Co
```

Values from the calculation:
- VASP energy: -5.534 eV per atom
- Total energy after the MP2020 corrections: -6.219 eV/atom
- Formation energy from the elements: -40.972 eV per formula unit

---

# 3
Entry from Materials Project: a relaxed structure of Ca3Mn2Ga2O10 (PBE+U).

```
Ca3Mn2Ga2O10
1.0
5.415 0.000 0.000
-0.048 5.684 0.000
-2.575 -2.657 6.965
O Ca Mn Ga
10 3 2 2
Direct
0.716 0.240 0.956 O
0.632 0.130 0.499 O
0.199 0.229 0.955 O
0.092 0.203 0.271 O
0.755 0.736 0.027 O
0.811 0.803 0.724 O
0.316 0.431 0.719 O
0.587 0.569 0.276 O
0.137 0.873 0.505 O
0.232 0.754 0.022 O
0.106 0.569 0.220 Ca
0.399 0.873 0.809 Ca
0.886 0.430 0.770 Ca
0.489 0.493 0.011 Mn
0.986 0.003 0.011 Mn
0.293 0.166 0.495 Ga
0.781 0.842 0.491 Ga
```

Values from the calculation:
- VASP energy: -6.564 eV per atom
- Total energy after the MP2020 corrections: -7.164 eV/atom
- Formation energy from the elements: -41.912 eV per formula unit

---

# 4
Entry from Materials Project: a relaxed structure of LiCr2S3O12 (PBE+U).

```
LiCr2S3O12
1.0
-5.822 -6.397 1.278
-0.174 -6.971 -5.275
2.572 -7.836 2.903
O S Li Cr
24 6 2 4
Direct
0.729 0.941 0.091 O
0.271 0.059 0.909 O
0.394 0.992 0.193 O
0.193 0.394 0.992 O
0.771 0.409 0.559 O
0.508 0.106 0.307 O
0.559 0.771 0.409 O
0.894 0.693 0.492 O
0.307 0.508 0.106 O
0.941 0.091 0.729 O
0.106 0.307 0.508 O
0.008 0.807 0.606 O
0.693 0.492 0.894 O
0.807 0.606 0.008 O
0.992 0.193 0.394 O
0.909 0.271 0.059 O
0.492 0.894 0.693 O
0.591 0.441 0.229 O
0.091 0.729 0.941 O
0.409 0.559 0.771 O
0.059 0.909 0.271 O
0.229 0.591 0.441 O
0.606 0.008 0.807 O
0.441 0.229 0.591 O
0.750 0.455 0.045 S
0.455 0.045 0.750 S
0.250 0.545 0.955 S
0.045 0.750 0.455 S
0.955 0.250 0.545 S
0.545 0.955 0.250 S
0.000 0.000 0.000 Li
0.500 0.500 0.500 Li
0.643 0.643 0.643 Cr
0.857 0.857 0.857 Cr
0.143 0.143 0.143 Cr
0.357 0.357 0.357 Cr
```

Values from the calculation:
- VASP energy: -6.501 eV per atom
- Total energy after the MP2020 corrections: -7.181 eV/atom
- Formation energy from the elements: -36.252 eV per formula unit

---

# 5
Entry from Materials Project: a relaxed structure of Ba2NbCoO6 (PBE+U).

```
Ba2NbCoO6
1.0
0.000 4.028 4.028
4.028 0.000 4.028
4.028 4.028 0.000
Ba O Nb Co
2 6 1 1
Direct
0.250 0.250 0.250 Ba
0.750 0.750 0.750 Ba
0.748 0.252 0.252 O
0.252 0.748 0.252 O
0.252 0.748 0.748 O
0.748 0.748 0.252 O
0.252 0.252 0.748 O
0.748 0.252 0.748 O
0.000 0.000 0.000 Nb
0.500 0.500 0.500 Co
```

Values from the calculation:
- VASP energy: -7.211 eV per atom
- Total energy after the MP2020 corrections: -7.787 eV/atom
- Formation energy from the elements: -27.132 eV per formula unit

---

# 6
Entry from Materials Project: a relaxed structure of MgNi2Sb4O12 (PBE+U).

```
MgNi2Sb4O12
1.0
5.216 0.526 -0.072
0.523 5.215 -0.072
-0.128 -0.128 9.443
Sb Ni O Mg
4 2 12 1
Direct
0.083 0.083 0.303 Sb
0.065 0.065 0.683 Sb
0.509 0.508 0.833 Sb
0.514 0.513 0.160 Sb
0.460 0.460 0.506 Ni
0.934 0.934 0.993 Ni
0.817 0.208 0.149 O
0.193 0.810 0.835 O
0.356 0.355 0.991 O
0.681 0.681 0.997 O
0.647 0.646 0.338 O
0.331 0.330 0.303 O
0.645 0.644 0.669 O
0.811 0.193 0.835 O
0.305 0.304 0.681 O
0.209 0.816 0.148 O
0.164 0.782 0.536 O
0.783 0.163 0.536 O
0.785 0.784 0.503 Mg
```

Values from the calculation:
- VASP energy: -5.694 eV per atom
- Total energy after the MP2020 corrections: -6.395 eV/atom
- Formation energy from the elements: -32.453 eV per formula unit

---

# 7
Entry from Materials Project: a relaxed structure of Li3V2P4H2O16 (PBE+U).

```
Li3V2P4H2O16
1.0
12.587 0.000 0.000
-1.379 9.293 0.000
-1.456 -1.235 7.281
O P V Li H
48 12 6 9 6
Direct
0.601 0.049 0.445 O
0.731 0.050 0.809 O
0.475 0.926 0.156 O
0.674 0.001 0.148 O
0.193 0.737 0.846 O
0.992 0.667 0.856 O
0.331 0.672 0.142 O
0.808 0.264 0.158 O
0.559 0.511 0.357 O
0.007 0.334 0.144 O
0.622 0.796 0.319 O
0.276 0.459 0.306 O
0.269 0.946 0.187 O
0.722 0.543 0.684 O
0.136 0.591 0.150 O
0.111 0.159 0.661 O
0.940 0.387 0.444 O
0.928 0.600 0.182 O
0.233 0.292 0.948 O
0.274 0.715 0.448 O
0.325 0.995 0.853 O
0.859 0.413 0.853 O
0.070 0.397 0.824 O
0.386 0.208 0.692 O
0.659 0.332 0.849 O
0.065 0.616 0.561 O
0.442 0.492 0.661 O
0.774 0.817 0.653 O
0.948 0.126 0.308 O
0.099 0.039 0.050 O
0.605 0.286 0.192 O
0.567 0.624 0.946 O
0.109 0.940 0.354 O
0.443 0.273 0.355 O
0.434 0.375 0.055 O
0.890 0.843 0.339 O
0.224 0.178 0.336 O
0.897 0.952 0.942 O
0.892 0.056 0.641 O
0.226 0.402 0.651 O
0.773 0.603 0.350 O
0.392 0.955 0.552 O
0.526 0.068 0.842 O
0.766 0.709 0.051 O
0.558 0.735 0.649 O
0.729 0.290 0.553 O
0.399 0.725 0.814 O
0.054 0.875 0.691 O
0.072 0.724 0.738 P
0.493 0.649 0.766 P
0.156 0.316 0.764 P
0.824 0.976 0.755 P
0.930 0.279 0.269 P
0.404 0.059 0.740 P
0.741 0.395 0.738 P
0.508 0.358 0.234 P
0.595 0.942 0.268 P
0.255 0.611 0.266 P
0.840 0.686 0.230 P
0.173 0.020 0.231 P
0.002 0.998 0.495 V
0.332 0.335 0.497 V
0.999 0.502 0.005 V
0.334 0.825 0.007 V
0.668 0.168 0.004 V
0.663 0.665 0.488 V
0.172 0.038 0.842 Li
0.583 0.949 0.655 Li
0.156 0.291 0.155 Li
0.422 0.058 0.344 Li
0.825 0.960 0.160 Li
0.243 0.616 0.648 Li
0.840 0.705 0.845 Li
0.507 0.378 0.849 Li
0.760 0.390 0.349 Li
0.653 0.664 0.991 H
0.319 0.332 0.990 H
0.677 0.187 0.517 H
0.007 0.512 0.509 H
0.984 0.992 0.984 H
0.338 0.848 0.508 H
```

Values from the calculation:
- VASP energy: -6.865 eV per atom
- Total energy after the MP2020 corrections: -7.398 eV/atom
- Formation energy from the elements: -68.243 eV per formula unit

---

# 8
Entry from Materials Project: a relaxed structure of LiNiP3O9 (PBE+U).

```
LiNiP3O9
1.0
-3.113 2.120 3.688
-4.359 -9.584 1.829
8.210 -2.173 8.177
O P Ni Li
36 12 4 4
Direct
0.507 0.012 0.037 O
0.589 0.412 0.279 O
0.549 0.060 0.427 O
0.951 0.940 0.927 O
0.126 0.716 0.927 O
0.630 0.039 0.680 O
0.832 0.318 0.119 O
0.668 0.682 0.619 O
0.911 0.588 0.779 O
0.657 0.817 0.391 O
0.874 0.216 0.573 O
0.629 0.386 0.677 O
0.493 0.512 0.463 O
0.343 0.317 0.109 O
0.871 0.614 0.177 O
0.451 0.560 0.073 O
0.843 0.183 0.891 O
0.332 0.182 0.881 O
0.870 0.961 0.180 O
0.993 0.988 0.537 O
0.932 0.817 0.751 O
0.374 0.284 0.427 O
0.068 0.317 0.749 O
0.129 0.114 0.323 O
0.568 0.183 0.251 O
0.130 0.461 0.320 O
0.432 0.683 0.249 O
0.089 0.088 0.721 O
0.157 0.683 0.609 O
0.049 0.440 0.573 O
0.411 0.912 0.221 O
0.371 0.886 0.823 O
0.007 0.488 0.963 O
0.370 0.539 0.820 O
0.168 0.818 0.381 O
0.626 0.784 0.073 O
0.625 0.925 0.123 P
0.375 0.425 0.377 P
0.417 0.810 0.321 P
0.391 0.151 0.361 P
0.875 0.075 0.623 P
0.891 0.349 0.639 P
0.125 0.575 0.877 P
0.109 0.849 0.861 P
0.917 0.690 0.679 P
0.083 0.190 0.821 P
0.583 0.310 0.179 P
0.609 0.651 0.139 P
0.597 0.034 0.868 Ni
0.403 0.534 0.632 Ni
0.903 0.966 0.368 Ni
0.097 0.466 0.132 Ni
0.601 0.384 0.919 Li
0.899 0.616 0.419 Li
0.399 0.884 0.581 Li
0.101 0.116 0.081 Li
```

Values from the calculation:
- VASP energy: -6.689 eV per atom
- Total energy after the MP2020 corrections: -7.312 eV/atom
- Formation energy from the elements: -33.912 eV per formula unit

---

# 9
Entry from Materials Project: a relaxed structure of Li2CrFeO4 (PBE+U).

```
Li2CrFeO4
1.0
-2.963 2.975 4.221
2.963 -2.975 4.221
2.963 2.975 -4.221
O Li Cr Fe
8 4 2 2
Direct
0.257 0.242 0.485 O
0.255 0.242 0.013 O
0.257 0.772 0.015 O
0.729 0.242 0.487 O
0.743 0.758 0.515 O
0.271 0.758 0.513 O
0.743 0.228 0.985 O
0.745 0.758 0.987 O
0.500 0.500 0.000 Li
0.000 0.500 0.500 Li
0.000 0.500 0.000 Li
0.000 0.000 0.500 Li
0.500 0.000 0.500 Cr
0.000 0.000 0.000 Cr
0.500 0.500 0.500 Fe
0.500 0.000 0.000 Fe
```

Values from the calculation:
- VASP energy: -6.510 eV per atom
- Total energy after the MP2020 corrections: -7.386 eV/atom
- Formation energy from the elements: -17.351 eV per formula unit

---

# 10
Entry from Materials Project: a relaxed structure of Mo2P2O11 (PBE+U).

```
Mo2P2O11
1.0
12.692 0.000 0.000
0.000 7.992 0.000
0.000 2.789 8.268
O Mo P
44 8 8
Direct
0.250 0.461 0.988 O
0.250 0.764 0.066 O
0.024 0.317 0.821 O
0.403 0.721 0.855 O
0.002 0.996 0.249 O
0.529 0.186 0.433 O
0.750 0.526 0.702 O
0.976 0.683 0.179 O
0.849 0.757 0.395 O
0.653 0.265 0.670 O
0.498 0.996 0.249 O
0.903 0.279 0.145 O
0.998 0.004 0.751 O
0.750 0.042 0.283 O
0.153 0.735 0.330 O
0.750 0.539 0.012 O
0.502 0.004 0.751 O
0.750 0.885 0.585 O
0.000 0.500 0.500 O
0.250 0.115 0.415 O
0.597 0.279 0.145 O
0.347 0.735 0.330 O
0.250 0.634 0.673 O
0.097 0.721 0.855 O
0.750 0.901 0.894 O
0.250 0.958 0.717 O
0.404 0.286 0.195 O
0.471 0.814 0.567 O
0.524 0.683 0.179 O
0.349 0.243 0.605 O
0.250 0.099 0.106 O
0.596 0.714 0.805 O
0.847 0.265 0.670 O
0.971 0.186 0.433 O
0.096 0.286 0.195 O
0.750 0.366 0.327 O
0.500 0.500 0.500 O
0.029 0.814 0.567 O
0.476 0.317 0.821 O
0.151 0.243 0.605 O
0.651 0.757 0.395 O
0.750 0.236 0.934 O
0.250 0.474 0.298 O
0.904 0.714 0.805 O
0.499 0.733 0.350 Mo
0.250 0.269 0.183 Mo
0.750 0.306 0.158 Mo
0.001 0.733 0.350 Mo
0.999 0.267 0.650 Mo
0.501 0.267 0.650 Mo
0.750 0.731 0.817 Mo
0.250 0.694 0.842 Mo
0.250 0.674 0.247 P
0.750 0.326 0.753 P
0.493 0.817 0.736 P
0.250 0.139 0.586 P
0.007 0.817 0.736 P
0.507 0.183 0.264 P
0.993 0.183 0.264 P
0.750 0.861 0.414 P
```

Values from the calculation:
- VASP energy: -7.128 eV per atom
- Total energy after the MP2020 corrections: -8.059 eV/atom
- Formation energy from the elements: -33.932 eV per formula unit

---

# 11
Entry from Materials Project: a relaxed structure of Sr2MgZnMoO6 (PBE+U).

```
Sr2MgZnMoO6
1.0
-6.007 -0.781 0.363
0.852 5.585 -0.642
2.899 -2.023 -4.441
O Sr Mg Mo Zn
6 2 1 1 1
Direct
0.732 0.930 0.582 O
0.776 0.688 0.003 O
0.806 0.212 0.165 O
0.285 0.401 0.060 O
0.311 0.149 0.470 O
0.228 0.850 0.887 O
0.239 0.676 0.431 Sr
0.790 0.398 0.610 Sr
0.588 0.822 0.161 Mg
0.018 0.037 0.022 Mo
0.442 0.230 0.883 Zn
```

Values from the calculation:
- VASP energy: -6.117 eV per atom
- Total energy after the MP2020 corrections: -6.783 eV/atom
- Formation energy from the elements: -27.844 eV per formula unit

---

What did the first record say?
Entry from Materials Project: a relaxed structure of Ba3MgNb2CoO9 (PBE+U).

```
Ba3MgNb2CoO9
1.0
6.185 0.158 0.269
-2.956 5.125 -0.001
0.328 0.181 7.481
Ba Nb O Co Mg
3 2 9 1 1
Direct
0.228 0.616 0.631 Ba
0.074 0.038 0.054 Ba
0.669 0.336 0.344 Ba
0.338 0.670 0.177 Nb
0.657 0.328 0.830 Nb
0.829 0.159 0.677 O
0.509 0.520 0.992 O
0.509 0.988 0.992 O
0.173 0.344 0.325 O
0.826 0.665 0.674 O
0.173 0.831 0.324 O
0.000 0.500 0.003 O
0.378 0.187 0.691 O
0.628 0.815 0.308 O
0.001 0.001 0.490 Co
0.676 0.837 0.820 Mg
```

Values from the calculation:
- VASP energy: -7.111 eV per atom
- Total energy after the MP2020 corrections: -7.600 eV/atom
- Formation energy from the elements: -42.404 eV per formula unit

---

What did the sixth record say?
Entry from Materials Project: a relaxed structure of MgNi2Sb4O12 (PBE+U).

```
MgNi2Sb4O12
1.0
5.216 0.526 -0.072
0.523 5.215 -0.072
-0.128 -0.128 9.443
Sb Ni O Mg
4 2 12 1
Direct
0.083 0.083 0.303 Sb
0.065 0.065 0.683 Sb
0.509 0.508 0.833 Sb
0.514 0.513 0.160 Sb
0.460 0.460 0.506 Ni
0.934 0.934 0.993 Ni
0.817 0.208 0.149 O
0.193 0.810 0.835 O
0.356 0.355 0.991 O
0.681 0.681 0.997 O
0.647 0.646 0.338 O
0.331 0.330 0.303 O
0.645 0.644 0.669 O
0.811 0.193 0.835 O
0.305 0.304 0.681 O
0.209 0.816 0.148 O
0.164 0.782 0.536 O
0.783 0.163 0.536 O
0.785 0.784 0.503 Mg
```

Values from the calculation:
- VASP energy: -5.694 eV per atom
- Total energy after the MP2020 corrections: -6.395 eV/atom
- Formation energy from the elements: -32.453 eV per formula unit

---

- What is the VASP energy in the seventh record?
  -6.865 eV per atom